Entry 1:
# DyErMn4

A relaxed DyErMn4 crystal (PBE, the Materials Project database).

Output
- Energy above the most stable polymorph in this dataset: 0.018 eV per atom
- Calculated density: 9.76 g/cm3
- Uncorrected energy: -45.1 eV per formula unit
- Formation enthalpy at 0 K: 0.118 eV/atom

abc: 5.094 5.094 5.094
angles: 60.00 60.00 60.00
Sites, in units of the cell vectors:
Mn  0.625  0.625  0.125
Mn  0.625  0.625  0.625
Mn  0.625  0.125  0.625
Mn  0.125  0.625  0.625
Er  0.000  0.000  0.000
Dy  0.250  0.250  0.250

---

Entry 2:
# NpGaRh2

A relaxed NpGaRh2 crystal (PBE, the Materials Project database).

Output
- Calculated density: 12.55 g/cm3
- Uncorrected energy: -31.9 eV per formula unit
- Formation enthalpy at 0 K: -0.292 eV/atom

abc: 4.578 4.578 4.578
angles: 60.00 60.00 60.00
Sites, in units of the cell vectors:
Rh  0.750  0.750  0.750
Rh  0.250  0.250  0.250
Ga  0.500  0.500  0.500
Np  0.000  0.000  0.000

---

Entry 3:
# Li5SbO5

A relaxed Li5SbO5 crystal (PBE, the Materials Project database).

Output
- Calculated density: 3.53 g/cm3
- Uncorrected energy: -59.2 eV per formula unit
- Formation enthalpy at 0 K: -2.198 eV/atom
- MP2020-corrected energy: -5.690 eV per atom

abc: 5.318 5.318 5.879
angles: 72.60 72.60 44.97
Sites, in units of the cell vectors:
O  0.856  0.856  0.826
O  0.144  0.144  0.174
O  0.157  0.157  0.683
O  0.500  0.500  0.000
O  0.843  0.843  0.317
Li  0.311  0.311  0.861
Li  0.000  0.000  0.500
Li  0.289  0.289  0.342
Li  0.689  0.689  0.139
Li  0.711  0.711  0.658
Sb  0.000  0.000  0.000

---

Entry 4:
# AgCSN

A relaxed AgCSN crystal (PBE, the Materials Project database).

Output
- Energy above the most stable polymorph in this dataset: 0.000 eV per atom
- Calculated density: 3.19 g/cm3
- Uncorrected energy: -23.6 eV per formula unit
- Formation enthalpy at 0 K: 0.015 eV/atom
- MP2020-corrected energy: -6.119 eV per atom

abc: 4.221 7.172 11.407
angles: 90.00 90.00 90.00
Sites, in units of the cell vectors:
Ag  0.000  0.820  0.847
Ag  0.500  0.320  0.653
Ag  0.000  0.180  0.153
Ag  0.500  0.680  0.347
C  0.000  0.660  0.122
C  0.500  0.160  0.378
C  0.500  0.840  0.622
C  0.000  0.340  0.878
N  0.000  0.747  0.034
N  0.000  0.253  0.966
N  0.500  0.753  0.534
N  0.500  0.247  0.466
S  0.500  0.041  0.254
S  0.500  0.959  0.746
S  0.000  0.541  0.246
S  0.000  0.459  0.754

---

Entry 5:
# Ce2Fe3Rh

A relaxed Ce2Fe3Rh crystal (PBE, the Materials Project database).

Output
- Calculated density: 9.60 g/cm3
- Uncorrected energy: -46.1 eV per formula unit
- Formation enthalpy at 0 K: -0.239 eV/atom

abc: 5.280 5.280 5.280
angles: 56.32 56.32 56.32
Sites, in units of the cell vectors:
Rh  0.500  0.500  0.500
Fe  0.000  0.500  0.500
Fe  0.500  0.000  0.500
Fe  0.500  0.500  0.000
Ce  0.121  0.121  0.121
Ce  0.879  0.879  0.879

---

Entry 6:
# Li5H9Pt2

A relaxed Li5H9Pt2 crystal (PBE, the Materials Project database).

Output
- Calculated density: 4.86 g/cm3
- Uncorrected energy: -58.9 eV per formula unit
- Formation enthalpy at 0 K: -0.416 eV/atom

abc: 7.279 7.279 7.279
angles: 109.99 109.99 108.44
Sites, in units of the cell vectors:
H  0.000  0.500  0.500
H  0.439  0.137  0.847
H  0.791  0.637  0.698
H  0.137  0.291  0.698
H  0.209  0.363  0.302
H  0.408  0.561  0.698
H  0.592  0.439  0.302
H  0.637  0.939  0.847
H  0.500  0.000  0.500
H  0.061  0.908  0.698
H  0.561  0.863  0.153
H  0.908  0.209  0.847
H  0.092  0.791  0.153
H  0.863  0.709  0.302
H  0.363  0.061  0.153
H  0.939  0.092  0.302
H  0.709  0.408  0.847
H  0.291  0.592  0.153
Li  0.500  0.500  0.000
Li  0.509  0.308  0.500
Li  0.991  0.491  0.799
Li  0.491  0.692  0.500
Li  0.192  0.991  0.500
Li  0.308  0.808  0.799
Li  0.692  0.192  0.201
Li  0.009  0.509  0.201
Li  0.808  0.009  0.500
Li  0.000  0.000  0.000
Pt  0.657  0.157  0.815
Pt  0.843  0.657  0.500
Pt  0.157  0.343  0.500
Pt  0.343  0.843  0.185